[1]
Computed, not measured: an optimized crystal structure of Li7Mn4CoO12 at the PBE+U level of DFT.

The structure in extended XYZ format:
```
24
Lattice="8.594 0.000 0.000 0.000 5.220 0.000 0.000 2.016 4.859" Properties=species:S:1:pos:R:3 pbc="T T T"
O 8.533 5.646 3.700
Li 1.448 1.008 2.430
O 2.942 1.581 1.185
Co 4.276 1.008 2.430
O 5.705 1.754 1.347
O 5.705 5.482 3.512
Li 2.846 3.618 2.430
O 8.533 1.590 1.160
O 2.942 5.656 3.675
O 7.181 4.437 1.089
Li 1.415 2.610 0.000
Mn 5.719 0.000 0.000
O 4.274 4.444 1.094
Li 5.703 3.618 2.430
Li 0.045 3.618 2.430
Mn 0.014 0.000 0.000
Mn 7.178 1.008 2.430
O 1.437 4.433 1.068
Li 4.288 2.610 0.000
O 7.181 2.799 3.770
O 1.437 2.803 3.792
Mn 2.864 0.000 0.000
O 4.274 2.792 3.765
Li 7.184 2.610 0.000
```

Values from the calculation:
Distance to the lowest polymorph of the same formula = 0.023 eV per atom
Magnetization = 0.667 μB per atom
E = -6.23 eV/atom
Space-group type = P2 (3)

***

[2]
Computed, not measured: an optimized crystal structure of Li7Mn2Co3O12 at the PBE+U level of DFT.

The structure in extended XYZ format:
```
24
Lattice="2.890 0.000 0.000 -0.077 5.147 0.000 -1.227 -2.590 14.608" Properties=species:S:1:pos:R:3 pbc="T T T"
Li 1.537 -0.039 7.373
Co 0.118 -0.003 9.765
O -0.014 3.901 3.811
Mn 0.051 -0.004 4.854
O 1.391 3.972 1.096
O 0.173 1.362 10.871
O 1.484 1.214 8.596
Li 0.050 2.503 7.415
O 1.433 3.999 5.945
O 0.051 1.219 5.952
Li -0.024 2.545 2.135
Mn 0.004 0.002 0.002
O 1.482 1.130 3.785
Li 1.439 -0.006 2.310
Co 1.463 2.564 4.849
Li 1.597 0.048 12.322
O 0.209 -1.431 13.536
Li 0.143 2.579 12.253
Li 0.183 -0.016 14.590
O -0.007 1.161 1.129
O 1.653 -1.187 10.838
O 0.086 -1.383 8.616
O 1.597 1.413 13.481
Co 1.529 2.566 9.772
```

Values from the calculation:
Distance to the lowest polymorph of the same formula = 0.573 eV per atom
Magnetization = 0.000 μB per atom
E = -5.36 eV/atom
Space-group type = P1 (1)

***

[3]
Computed, not measured: an optimized crystal structure of Li7Mn2Co3O12 at the PBE+U level of DFT.

The structure in extended XYZ format:
```
24
Lattice="4.403 4.898 0.000 -4.403 4.898 0.000 0.000 0.809 4.949" Properties=species:S:1:pos:R:3 pbc="T T T"
Co -1.384 5.302 2.475
O 1.606 6.111 0.667
Li -1.438 7.903 3.727
Mn -2.905 4.898 0.000
Li 1.438 2.702 1.222
O 2.964 4.098 1.757
O 0.000 9.421 4.355
Li 1.438 7.903 3.727
O 0.000 4.007 1.954
Mn 2.905 4.898 0.000
Li 0.000 7.490 1.225
O 0.000 6.598 2.995
O 2.964 6.507 3.192
O 1.606 4.494 4.282
Co 0.000 0.405 2.475
O -2.964 4.098 1.757
O -1.606 6.111 0.667
Li -1.438 2.702 1.222
O -1.606 4.494 4.282
Li 0.000 4.898 0.000
Co 1.384 5.302 2.475
O 0.000 1.184 0.594
O -2.964 6.507 3.192
Li 0.000 3.115 3.725
```

Values from the calculation:
Distance to the lowest polymorph of the same formula = 0.029 eV per atom
Magnetization = 0.250 μB per atom
E = -5.90 eV/atom
Space-group type = C2/m (12)

***

[4]
Computed, not measured: an optimized crystal structure of Li2MnCoO4 at the PBE+U level of DFT.

The structure in extended XYZ format:
```
16
Lattice="-2.329 1.116 -1.644 2.800 -2.537 -4.728 -4.201 -6.846 1.060" Properties=species:S:1:pos:R:3 pbc="T T T"
Li -1.618 -4.811 -5.835
O 0.959 -1.490 -4.375
Li -1.513 -1.757 -1.738
O -1.049 -4.688 -3.780
O -0.465 -3.077 -5.984
O -2.663 -3.553 -1.556
O -3.999 -5.236 -3.161
O -4.722 -6.795 -0.923
Li -2.228 -6.503 -3.561
O 0.298 -3.042 -2.198
O -3.264 -5.206 0.718
Co -0.072 -3.060 -4.089
Mn -3.014 -3.575 -3.496
Mn -3.650 -5.207 -1.223
Li -0.933 -0.180 -4.006
Co 2.769 -2.526 -4.715
```

Values from the calculation:
Distance to the lowest polymorph of the same formula = 0.041 eV per atom
Magnetization = 0.377 μB per atom
E = -6.12 eV/atom
Space-group type = P1 (1)

***

[5]
Computed, not measured: an optimized crystal structure of Li7Mn4CoO12 at the PBE+U level of DFT.

The structure in extended XYZ format:
```
48
Lattice="-1.390 -0.850 2.454 10.340 -11.019 2.329 4.267 7.598 4.571" Properties=species:S:1:pos:R:3 pbc="T T T"
O 6.402 -6.377 3.320
O 10.255 -1.567 6.809
Mn 1.251 0.503 2.602
Li 10.543 -8.199 3.278
O 9.756 -10.234 4.086
Li 8.333 -3.977 5.064
O 11.051 -6.650 7.458
O 1.671 -0.408 0.955
Li 6.118 0.256 6.852
Mn 8.551 -1.191 6.021
O 10.133 -4.578 5.892
Co 6.894 -7.345 1.553
Li 4.684 -3.130 3.334
Li 9.748 -3.410 7.691
Mn 7.212 -1.745 3.416
O 6.534 -3.364 4.238
Li 5.295 5.336 6.187
O 3.339 2.911 4.264
O 2.854 -2.859 2.418
Li 4.831 -0.382 4.293
O 6.741 -0.920 5.171
O 3.745 -4.953 3.991
O 2.986 0.163 3.538
Mn 9.454 -6.199 6.714
Co 2.467 1.112 5.128
O 7.887 -0.324 7.622
O 12.918 -2.991 6.140
O 8.770 -7.630 2.514
Li 6.918 -4.537 2.440
O 6.908 2.289 6.045
O 3.470 5.934 5.384
Mn 2.153 -4.484 3.228
O 9.926 -7.023 4.959
Li 12.141 -2.104 7.754
Mn 8.112 -6.753 4.110
Mn 14.510 -3.460 6.903
O 0.758 1.458 4.210
O 7.654 -5.878 5.807
O 5.615 -1.294 2.673
Li 11.832 -7.561 5.837
Li 11.980 -4.814 6.796
O 9.016 -2.058 4.320
O 4.653 3.482 6.847
Li 2.445 -1.761 4.251
Li 3.877 4.836 3.550
O 5.566 1.616 3.592
Mn 5.072 2.571 5.200
Li 4.527 -5.836 2.379
```

Values from the calculation:
Distance to the lowest polymorph of the same formula = 0.043 eV per atom
Magnetization = 0.667 μB per atom
E = -6.20 eV/atom
Space-group type = P1 (1)

***

[6]
Computed, not measured: an optimized crystal structure of Li7Mn4CoO12 at the PBE+U level of DFT.

The structure in extended XYZ format:
```
48
Lattice="-4.314 -5.059 1.431 4.871 -0.137 7.158 -5.415 5.322 1.423" Properties=species:S:1:pos:R:3 pbc="T T T"
O -3.998 1.905 1.489
O -3.680 -0.453 2.843
Li -2.052 -3.878 5.742
O 1.194 -0.597 4.288
Li -2.043 -3.849 2.867
O -1.189 0.593 1.436
O -0.868 -1.785 8.642
Co 0.002 -0.002 2.862
Co -4.862 0.129 4.289
Li 0.281 -2.600 7.156
Li -2.600 1.300 5.745
O -3.692 -0.445 8.587
Li 2.208 1.254 7.132
O 0.890 1.764 5.666
O -3.674 -0.446 5.727
Li -2.188 -1.253 7.173
O -3.447 -3.309 1.489
Li -2.625 1.260 2.859
O -0.863 -1.754 5.665
Li -0.269 2.590 7.152
O -3.986 1.906 7.093
O -4.247 4.726 2.884
O -1.161 0.566 7.147
Mn -4.564 -2.435 5.751
Mn -4.577 -2.446 2.833
Li -2.267 -1.214 4.288
O 1.177 -0.572 7.151
Li -2.785 4.058 4.287
O -1.429 3.416 8.638
Mn -4.854 0.128 7.147
O -1.412 3.412 5.657
Li -2.665 1.374 8.562
Mn -5.161 2.693 2.826
O -0.895 -1.983 2.860
O -4.029 1.918 4.288
Mn -4.871 0.131 1.429
O -6.044 0.711 5.734
Mn 0.267 -2.617 4.321
Li -2.258 -1.186 1.413
O -3.415 -3.080 4.293
O -0.616 -4.629 7.161
O -5.696 -1.660 4.289
O -1.163 0.591 4.263
Li -7.124 -1.042 2.832
Mn 4.857 -0.136 7.155
Mn 0.018 -0.006 5.726
O -6.050 0.705 2.850
Li -2.747 3.925 7.172
```

Values from the calculation:
Distance to the lowest polymorph of the same formula = 0.014 eV per atom
Magnetization = 0.583 μB per atom
E = -6.23 eV/atom
Space-group type = P-1 (2)

***

[7]
Computed, not measured: an optimized crystal structure of Li5Mn2CoO8 at the PBE+U level of DFT.

The structure in extended XYZ format:
```
32
Lattice="-2.498 -1.448 -0.278 4.460 -8.024 3.420 -3.532 4.113 8.583" Properties=species:S:1:pos:R:3 pbc="T T T"
O -1.870 1.816 6.178
O -2.596 -1.556 1.700
Li -0.891 -3.228 9.938
O -1.467 -5.119 9.838
Li -2.446 -0.075 6.079
Mn -0.736 -2.692 5.786
Li -1.993 1.627 8.257
O 2.791 -5.860 5.733
Li -0.559 -2.251 1.895
Co -2.918 -2.376 7.869
O -1.338 -4.523 5.661
Mn -1.814 2.069 4.369
O -4.087 2.268 8.382
O 0.750 -5.571 7.635
O -0.680 -2.440 3.977
Li 0.754 -5.166 5.538
Li -2.603 -1.997 3.796
Li 2.798 -5.420 3.637
O -2.383 0.207 4.026
Li -1.344 -4.930 7.759
O -2.664 -2.278 5.849
O -0.882 -2.787 7.841
O -0.673 -1.025 10.167
Mn 0.932 -4.725 1.648
O 2.579 -7.623 3.407
Li 0.561 -5.664 9.719
O -2.455 -0.516 8.175
O 0.875 -4.976 3.456
Mn -1.523 -5.372 11.648
O 1.534 -2.893 1.772
Li -1.151 -4.432 3.578
Co 2.328 -7.720 5.427
```

Values from the calculation:
Distance to the lowest polymorph of the same formula = 0.022 eV per atom
Magnetization = 0.375 μB per atom
E = -6.02 eV/atom

***

[8]
Computed, not measured: an optimized crystal structure of Li5MnCo2O8 at the PBE+U level of DFT.

The structure in extended XYZ format:
```
16
Lattice="2.883 0.000 0.000 0.000 9.673 -1.736 0.000 -0.018 5.103" Properties=species:S:1:pos:R:3 pbc="T T T"
Co 1.442 4.836 -0.868
O 1.442 8.600 -0.966
Li 1.442 -0.009 2.551
O 0.000 3.745 -0.065
Li 1.442 7.291 2.534
Mn 0.000 0.000 0.000
O 1.442 5.951 0.871
O 1.442 1.055 4.334
O 0.000 8.535 1.817
O 0.000 1.120 1.550
Li 1.442 2.364 0.834
O 0.000 5.910 3.432
O 1.442 3.704 2.496
Co 0.000 4.828 1.684
Li 0.000 7.378 0.062
Li 0.000 2.277 3.305
```

Values from the calculation:
Distance to the lowest polymorph of the same formula = 0.047 eV per atom
Magnetization = 0.125 μB per atom
E = -5.72 eV/atom
Space-group type = P2/m (10)